Record 1
Below is Na3CoO3 after structural relaxation, with properties calculated at the PBE+U level.

As for the polymorph energy (0 for the lowest one): 0.112 eV/atom. For the electronic total energy, the calculation gives -32.457 eV per formula unit. The calculation puts the formation energy at -1.462 eV/atom.

abc: 6.0959 7.6793 10.8250
angles: 90.00 123.78 90.00
Space group P2_1/c (No. 14)
Unique sites:
Na 0.0402 0.1575 0.4327 x4
Na 0.2062 0.5317 0.4605 x4
Na 0.3903 0.2317 0.2738 x4
Co 0.2825 0.6499 0.8539 x4
O 0.0154 0.6355 0.8751 x4
O 0.2451 0.5810 0.6860 x4
O 0.4447 0.2234 0.0115 x4


Record 2
Below is MgFe6O6F6 after structural relaxation, with properties calculated at the PBE+U level.

As for the polymorph energy (0 for the lowest one): 0.043 eV/atom. For the electronic total energy, the calculation gives -113.082 eV per formula unit. The calculation puts the formation energy at -2.101 eV/atom.

abc: 5.2977 5.3407 8.8592
angles: 92.80 92.14 90.64
Space group P1 (No. 1)
Unique sites:
Mg 0.0000 0.0000 0.0000 x1
Fe 0.3015 0.0630 0.3666 x1
Fe 0.5050 0.9350 0.6784 x1
Fe 0.5132 0.9446 0.0286 x1
Fe 0.8466 0.4537 0.8329 x1
Fe 0.9844 0.5847 0.5163 x1
Fe 0.9873 0.5342 0.1803 x1
O 0.1452 0.3748 0.3637 x1
O 0.2191 0.8641 0.5337 x1
O 0.2408 0.8931 0.1754 x1
O 0.6873 0.1303 0.8446 x1
O 0.7208 0.6518 0.6687 x1
O 0.7934 0.6810 0.0011 x1
F 0.1140 0.3765 0.6837 x1
F 0.1499 0.3339 0.9809 x1
F 0.2500 0.8622 0.8445 x1
F 0.6055 0.1448 0.5076 x1
F 0.7638 0.6978 0.3542 x1
F 0.7668 0.1759 0.1510 x1


Record 3
Below is Li7Mn10Cr6O32 after structural relaxation, with properties calculated at the PBE+U level.

For the electronic total energy, the calculation gives -388.972 eV per formula unit. The calculation puts the formation energy at -2.153 eV/atom.

abc: 5.8774 5.9073 19.5165
angles: 81.74 81.44 60.33
Space group P1 (No. 1)
Unique sites:
Li 0.0000 0.0000 0.0000 x1
Li 0.0532 0.0780 0.8112 x1
Li 0.2428 0.2534 0.2493 x1
Li 0.3129 0.3240 0.0605 x1
Li 0.5563 0.5771 0.3109 x1
Li 0.7518 0.7493 0.7471 x1
Li 0.8053 0.8291 0.5594 x1
Mn 0.0282 0.0407 0.4052 x1
Mn 0.0299 0.5372 0.9049 x1
Mn 0.1538 0.1643 0.5283 x1
Mn 0.2796 0.2903 0.6535 x1
Mn 0.5254 0.0406 0.4054 x1
Mn 0.5279 0.5368 0.9051 x1
Mn 0.6561 0.6614 0.0304 x1
Mn 0.7760 0.2904 0.6536 x1
Mn 0.7777 0.7887 0.1550 x1
Mn 0.9005 0.9157 0.2797 x1
Cr 0.0279 0.5383 0.4052 x1
Cr 0.2779 0.7887 0.1550 x1
Cr 0.2795 0.7874 0.6531 x1
Cr 0.4024 0.4140 0.7795 x1
Cr 0.5280 0.0380 0.9055 x1
Cr 0.7778 0.2887 0.1550 x1
O 0.0659 0.6375 0.2152 x1
O 0.0699 0.0822 0.2172 x1
O 0.0904 0.1127 0.7060 x1
O 0.1258 0.5782 0.7117 x1
O 0.1749 0.7518 0.3444 x1
O 0.2156 0.2154 0.3521 x1
O 0.2227 0.2482 0.8474 x1
O 0.2282 0.6945 0.8473 x1
O 0.3211 0.8927 0.4632 x1
O 0.3275 0.3237 0.4642 x1
O 0.3399 0.3612 0.9580 x1
O 0.3814 0.8246 0.9660 x1
O 0.4266 0.0017 0.5935 x1
O 0.4676 0.4616 0.6029 x1
O 0.4862 0.4952 0.0927 x1
O 0.4897 0.9401 0.0947 x1
O 0.5767 0.1339 0.7112 x1
O 0.5831 0.5783 0.7120 x1
O 0.5984 0.6100 0.2077 x1
O 0.6245 0.0787 0.2149 x1
O 0.6795 0.2486 0.8473 x1
O 0.7159 0.7147 0.8526 x1
O 0.7258 0.7520 0.3452 x1
O 0.7304 0.1916 0.3461 x1
O 0.8263 0.3861 0.9647 x1
O 0.8307 0.8251 0.9651 x1
O 0.8404 0.8636 0.4567 x1
O 0.8851 0.3229 0.4641 x1
O 0.9312 0.4989 0.0951 x1
O 0.9571 0.9675 0.1024 x1
O 0.9782 0.0016 0.5934 x1
O 0.9832 0.4397 0.5943 x1


Record 4
Below is Li9Mn2Co5O16 after structural relaxation, with properties calculated at the PBE+U level.

As for the polymorph energy (0 for the lowest one): 0.069 eV/atom. For the electronic total energy, the calculation gives -185.135 eV per formula unit. The calculation puts the formation energy at -1.795 eV/atom.

abc: 2.9733 5.9592 16.1639
angles: 90.66 90.96 94.18
Space group P1 (No. 1)
Unique sites:
Li 0.0000 0.0000 0.0000 x1
Li 0.0006 0.4998 0.7500 x1
Li 0.0016 0.4990 0.2490 x1
Li 0.0069 0.4908 0.5043 x1
Li 0.4960 0.7451 0.3805 x1
Li 0.4987 0.2484 0.1269 x1
Li 0.4997 0.7520 0.8736 x1
Li 0.5010 0.2559 0.6210 x1
Li 0.9960 0.0094 0.5051 x1
Mn 0.9998 0.4998 0.0005 x1
Mn 0.4966 0.2557 0.3800 x1
Co 0.4971 0.7521 0.1267 x1
Co 0.5018 0.2461 0.8744 x1
Co 0.5028 0.7411 0.6208 x1
Co 0.9905 0.0023 0.2503 x1
Co 0.9979 0.0001 0.7493 x1
O 0.0227 0.4697 0.3754 x1
O 0.0268 0.0091 0.8687 x1
O 0.0267 0.5124 0.1224 x1
O 0.0284 0.5202 0.6270 x1
O 0.4689 0.2344 0.2558 x1
O 0.4714 0.7455 0.0071 x1
O 0.4748 0.2358 0.7568 x1
O 0.4977 0.7541 0.5131 x1
O 0.5053 0.2462 0.4918 x1
O 0.5253 0.7643 0.7412 x1
O 0.5257 0.7641 0.2467 x1
O 0.5281 0.2539 0.9948 x1
O 0.9729 0.4884 0.8790 x1
O 0.9742 0.0267 0.3709 x1
O 0.9748 0.9868 0.1322 x1
O 0.9760 0.9867 0.6321 x1


Record 5
Below is VS2O8 after structural relaxation, with properties calculated at the PBE+U level.

As for the polymorph energy (0 for the lowest one): 0.019 eV/atom. For the electronic total energy, the calculation gives -70.657 eV per formula unit. The calculation puts the formation energy at -1.901 eV/atom.

abc: 8.3341 8.3341 22.3616
angles: 90.00 90.00 120.00
Space group R3 (No. 146, hexagonal axes)
Unique sites:
V 0.0000 0.0000 0.0000 x3
V 0.0000 0.0000 0.2024 x3
V 0.0000 0.0000 0.7015 x3
S 0.0416 0.3737 0.7659 x9
S 0.0469 0.6719 0.2652 x9
O 0.0290 0.2109 0.4359 x9
O 0.0338 0.8088 0.5440 x9
O 0.0677 0.2092 0.0509 x9
O 0.0979 0.5319 0.4188 x9
O 0.1421 0.4644 0.8240 x9
O 0.1618 0.6880 0.9262 x9
O 0.1776 0.7219 0.6210 x9
O 0.1843 0.7444 0.3149 x9


Record 6
Below is Mn3OF5 after structural relaxation, with properties calculated at the PBE+U level.

As for the polymorph energy (0 for the lowest one): 0.022 eV/atom. For the electronic total energy, the calculation gives -58.521 eV per formula unit. The calculation puts the formation energy at -2.724 eV/atom.

abc: 5.8811 5.8858 7.5918
angles: 73.49 72.90 71.04
Space group P1 (No. 1)
Unique sites:
Mn 0.0000 0.0000 0.0000 x1
Mn 0.0092 0.0204 0.4958 x1
Mn 0.3202 0.3356 0.1753 x1
Mn 0.3545 0.3494 0.6658 x1
Mn 0.6703 0.6571 0.8209 x1
Mn 0.6959 0.6410 0.3475 x1
O 0.5797 0.5544 0.6236 x1
O 0.9780 0.3659 0.3352 x1
F 0.0396 0.6504 0.6660 x1
F 0.1258 0.1189 0.6985 x1
F 0.2412 0.2346 0.9633 x1
F 0.3105 0.6980 0.9971 x1
F 0.3954 0.9467 0.3322 x1
F 0.4370 0.4266 0.3701 x1
F 0.6437 0.0270 0.6728 x1
F 0.6883 0.3022 0.0066 x1
F 0.7695 0.7503 0.0454 x1
F 0.9105 0.8980 0.2995 x1


Record 7
Below is Li9Mn2Co5O16 after structural relaxation, with properties calculated at the PBE+U level.

As for the polymorph energy (0 for the lowest one): 0.084 eV/atom. For the electronic total energy, the calculation gives -184.660 eV per formula unit. The calculation puts the formation energy at -1.780 eV/atom.

abc: 10.3885 2.8727 10.4028
angles: 90.00 111.19 90.00
Space group P2/m (No. 10)
Unique sites:
Li 0.0000 0.0000 0.0000 x1
Li 0.2401 0.0000 0.2473 x2
Li 0.2424 0.0000 0.7505 x2
Li 0.2425 0.5000 0.9998 x2
Li 0.2499 0.5000 0.4985 x2
Mn 0.4995 0.5000 0.2493 x2
Co 0.0000 0.0000 0.5000 x1
Co 0.0046 0.5000 0.2395 x2
Co 0.5000 0.0000 0.0000 x1
Co 0.5000 0.0000 0.5000 x1
O 0.1130 0.0000 0.3755 x2
O 0.1132 0.5000 0.6256 x2
O 0.1151 0.5000 0.1396 x2
O 0.1189 0.0000 0.8640 x2
O 0.3834 0.0000 0.1399 x2
O 0.3840 0.0000 0.6417 x2
O 0.3894 0.5000 0.3912 x2
O 0.3900 0.5000 0.8917 x2


Record 8
Below is V3Co5O16 after structural relaxation, with properties calculated at the PBE+U level.

For the electronic total energy, the calculation gives -155.399 eV per formula unit. The calculation puts the formation energy at -1.572 eV/atom.

abc: 9.7430 5.7154 8.7923
angles: 90.00 90.37 90.00
Space group Cm (No. 8)
Unique sites:
V 0.0000 0.0000 0.0000 x2
V 0.4263 0.2517 0.5035 x4
Co 0.0172 0.5000 0.2290 x2
Co 0.1786 0.5000 0.5010 x2
Co 0.1837 0.0000 0.7355 x2
Co 0.2610 0.2462 0.0056 x4
O 0.0137 0.5000 0.6146 x2
O 0.0197 0.0000 0.6063 x2
O 0.0867 0.2856 0.3732 x4
O 0.1093 0.2158 0.8743 x4
O 0.1799 0.0000 0.1125 x2
O 0.1842 0.5000 0.1083 x2
O 0.2708 0.2377 0.6122 x4
O 0.3259 0.0000 0.8817 x2
O 0.3440 0.5000 0.8862 x2
O 0.3496 0.5000 0.3882 x2
O 0.3692 0.0000 0.3679 x2
O 0.4358 0.2479 0.1089 x4


Record 9
Below is TiV3O8 after structural relaxation, with properties calculated at the PBE+U level.

As for the polymorph energy (0 for the lowest one): 0.000 eV/atom. For the electronic total energy, the calculation gives -96.667 eV per formula unit. The calculation puts the formation energy at -2.711 eV/atom.

abc: 3.7739 7.7848 10.3878
angles: 90.85 100.32 103.86
Space group P1 (No. 1)
Unique sites:
Ti 0.0000 0.0000 0.0000 x1
Ti 0.0026 0.5076 0.4993 x1
V 0.0843 0.3807 0.8004 x1
V 0.1165 0.8874 0.2964 x1
V 0.3340 0.7805 0.8059 x1
V 0.3369 0.2815 0.3096 x1
V 0.3859 0.1681 0.6133 x1
V 0.3886 0.6670 0.1098 x1
O 0.0534 0.1949 0.9161 x1
O 0.0556 0.7022 0.4169 x1
O 0.1291 0.5929 0.6765 x1
O 0.1323 0.0928 0.1763 x1
O 0.2487 0.5739 0.9190 x1
O 0.2504 0.0795 0.4226 x1
O 0.3214 0.9675 0.6808 x1
O 0.3261 0.4727 0.1841 x1
O 0.4543 0.9216 0.9860 x1
O 0.4548 0.4276 0.4846 x1
O 0.5472 0.3375 0.7642 x1
O 0.5549 0.8483 0.2633 x1
O 0.8260 0.3183 0.3309 x1
O 0.8264 0.8172 0.8316 x1
O 0.9299 0.2490 0.6183 x1
O 0.9296 0.7444 0.1137 x1


Record 10
Below is V4OF11 after structural relaxation, with properties calculated at the PBE+U level.

As for the polymorph energy (0 for the lowest one): 0.000 eV/atom. For the electronic total energy, the calculation gives -99.858 eV per formula unit. The calculation puts the formation energy at -3.130 eV/atom.

abc: 5.2480 5.4597 17.4363
angles: 89.15 81.81 61.59
Space group P-1 (No. 2)
Unique sites:
V 0.0000 0.0000 0.0000 x1
V 0.0000 0.5000 0.5000 x1
V 0.2523 0.3786 0.1260 x2
V 0.2537 0.8803 0.6263 x2
V 0.4934 0.2373 0.7431 x2
O 0.4208 0.0894 0.6703 x2
F 0.0231 0.1884 0.5625 x2
F 0.0239 0.6874 0.0630 x2
F 0.0734 0.1632 0.0883 x2
F 0.0765 0.6644 0.5882 x2
F 0.0766 0.4651 0.7870 x2
F 0.0778 0.9614 0.2865 x2
F 0.4264 0.5948 0.1671 x2
F 0.4273 0.2841 0.4628 x2
F 0.4280 0.7842 0.9623 x2
F 0.4793 0.0570 0.1862 x2
F 0.4811 0.5581 0.6873 x2


Record 11
Below is Li4Nb3V3Ni2O16 after structural relaxation, with properties calculated at the PBE+U level.

For the electronic total energy, the calculation gives -203.392 eV per formula unit. The calculation puts the formation energy at -2.452 eV/atom.

abc: 10.5158 6.0889 9.8816
angles: 90.00 90.39 90.00
Space group Cm (No. 8)
Unique sites:
Li 0.0000 0.0000 0.0000 x2
Li 0.0061 0.0000 0.5114 x2
Li 0.1601 0.5000 0.1032 x2
Li 0.3266 0.0000 0.6209 x2
Nb 0.3229 0.5000 0.7847 x2
Nb 0.4062 0.2482 0.2885 x4
V 0.0772 0.2563 0.7913 x4
V 0.1621 0.0000 0.2915 x2
Ni 0.1537 0.5000 0.5229 x2
Ni 0.3213 0.0000 0.9957 x2
O 0.0115 0.5000 0.6720 x2
O 0.0723 0.2386 0.3965 x4
O 0.1525 0.0000 0.8939 x2
O 0.1675 0.5000 0.9050 x2
O 0.2354 0.2767 0.6670 x4
O 0.2539 0.2269 0.1719 x4
O 0.3330 0.0000 0.4060 x2
O 0.3344 0.5000 0.4028 x2
O 0.4117 0.2594 0.9001 x4
O 0.4779 0.0000 0.1735 x2
O 0.4911 0.5000 0.1858 x2
O 0.4918 0.5000 0.6897 x2


> Among the records above, which one has the lowest electronic total energy?

Li7Mn10Cr6O32


> What is the formula in the ninth record?

TiV3O8